No. 1
First-principles (PBE+U) data for crystalline V2O5 at its relaxed geometry, as listed in Materials Project.

Cell: 11.707 12.023 12.770 Å, 88.94 87.81 86.58°
Fractional coordinates of all 105 atoms:
V 0.000 0.000 0.000
V 0.007 0.389 0.498
V 0.071 0.805 0.562
V 0.106 0.175 0.380
V 0.117 0.259 0.976
V 0.157 0.636 0.879
V 0.186 0.532 0.133
V 0.195 0.983 0.667
V 0.253 0.468 0.662
V 0.266 0.906 0.871
V 0.361 0.212 0.658
V 0.362 0.722 0.168
V 0.396 0.098 0.343
V 0.407 0.977 0.093
V 0.426 0.243 0.937
V 0.480 0.577 0.708
V 0.552 0.609 0.964
V 0.569 0.620 0.484
V 0.572 0.904 0.494
V 0.599 0.139 0.756
V 0.618 0.177 0.042
V 0.758 0.315 0.219
V 0.775 0.905 0.865
V 0.819 0.552 0.344
V 0.829 0.240 0.634
V 0.858 0.994 0.464
V 0.896 0.667 0.730
V 0.926 0.381 0.831
V 0.993 0.368 0.213
V 0.999 0.004 0.265
O 0.019 0.673 0.885
O 0.022 0.735 0.680
O 0.032 0.143 0.969
O 0.045 0.509 0.184
O 0.053 0.329 0.336
O 0.063 0.252 0.510
O 0.069 0.018 0.621
O 0.071 0.357 0.876
O 0.080 0.892 0.279
O 0.088 0.318 0.097
O 0.092 0.118 0.244
O 0.094 0.455 0.575
O 0.101 0.712 0.476
O 0.122 0.924 0.999
O 0.153 0.989 0.806
O 0.180 0.558 0.760
O 0.190 0.551 0.990
O 0.209 0.849 0.598
O 0.230 0.655 0.192
O 0.237 0.758 0.888
O 0.248 0.312 0.682
O 0.253 0.145 0.398
O 0.257 0.221 0.955
O 0.276 0.431 0.167
O 0.290 0.087 0.625
O 0.319 0.859 0.126
O 0.326 0.522 0.538
O 0.344 0.902 0.760
O 0.352 0.980 0.956
O 0.370 0.039 0.222
O 0.385 0.680 0.708
O 0.394 0.457 0.723
O 0.427 0.371 0.974
O 0.432 0.258 0.557
O 0.432 0.723 0.276
O 0.442 0.205 0.786
O 0.442 0.648 0.065
O 0.445 0.538 0.549
O 0.470 0.136 0.056
O 0.472 0.203 0.319
O 0.473 0.995 0.424
O 0.523 0.886 0.611
O 0.532 0.915 0.097
O 0.539 0.547 0.842
O 0.543 0.086 0.655
O 0.563 0.749 0.892
O 0.564 0.759 0.790
O 0.576 0.764 0.444
O 0.600 0.211 0.906
O 0.607 0.613 0.619
O 0.653 0.292 0.123
O 0.677 0.577 0.010
O 0.681 0.541 0.407
O 0.686 0.020 0.804
O 0.688 0.243 0.691
O 0.713 0.076 0.055
O 0.714 0.961 0.498
O 0.717 0.273 0.335
O 0.718 0.864 0.974
O 0.810 0.779 0.793
O 0.832 0.650 0.624
O 0.834 0.449 0.233
O 0.838 0.678 0.305
O 0.840 0.366 0.932
O 0.848 0.120 0.564
O 0.849 0.976 0.329
O 0.861 0.359 0.559
O 0.891 0.250 0.186
O 0.906 0.517 0.779
O 0.909 0.958 0.899
O 0.912 0.260 0.745
O 0.936 0.881 0.515
O 0.937 0.504 0.419
O 0.943 0.997 0.127
O 0.998 0.068 0.409



No. 2
First-principles (PBE+U) data for crystalline VO2 at its relaxed geometry, as listed in Materials Project.

Cell: 4.957 4.957 9.908 Å, 90.00 90.00 145.06°
Fractional coordinates of all 12 atoms:
V 0.135 0.865 0.576
V 0.135 0.865 0.924
V 0.865 0.135 0.076
V 0.865 0.135 0.424
O 0.076 0.924 0.750
O 0.236 0.764 0.101
O 0.236 0.764 0.399
O 0.500 0.500 0.000
O 0.500 0.500 0.500
O 0.764 0.236 0.601
O 0.764 0.236 0.899
O 0.924 0.076 0.250



No. 3
First-principles (PBE+U) data for crystalline VO2 at its relaxed geometry, as listed in Materials Project.

Cell: 2.969 2.969 10.381 Å, 90.00 90.00 120.00°
Fractional coordinates of all 6 atoms:
V 0.000 0.000 0.000
V 0.000 0.000 0.500
O 0.333 0.667 0.091
O 0.333 0.667 0.409
O 0.667 0.333 0.591
O 0.667 0.333 0.909



No. 4
First-principles (PBE+U) data for crystalline V4O7 at its relaxed geometry, as listed in Materials Project.

Cell: 5.762 6.456 7.121 Å, 87.08 85.99 78.30°
Fractional coordinates of all 22 atoms:
V 0.180 0.327 0.080
V 0.216 0.788 0.712
V 0.275 0.787 0.196
V 0.278 0.378 0.490
V 0.722 0.622 0.510
V 0.725 0.213 0.804
V 0.784 0.212 0.288
V 0.820 0.673 0.920
O 0.018 0.572 0.669
O 0.097 0.059 0.192
O 0.173 0.635 0.001
O 0.261 0.139 0.693
O 0.351 0.680 0.449
O 0.385 0.191 0.859
O 0.445 0.288 0.250
O 0.555 0.712 0.750
O 0.615 0.809 0.141
O 0.649 0.320 0.551
O 0.739 0.861 0.307
O 0.827 0.365 0.999
O 0.903 0.941 0.808
O 0.982 0.428 0.331



How do the records compare in final energy? In the order shown, they have -51.15; -22.89; -22.55; -83.05 eV per formula unit.
How do the records compare in E_form? In the order shown, they have -1.779; -2.327; -2.214; -2.012 eV/atom.